No. 1
Computed, not measured: a relaxed Ba2Ti13O22 crystal at the r2SCAN level of DFT.

Lattice parameters (Å, degrees): 7.696 7.696 14.145 90.00 90.00 81.01
Fractional positions:
Ba (0.167, 0.833, 0.913)
Ba (0.333, 0.667, 0.413)
Ba (0.667, 0.333, 0.587)
Ba (0.833, 0.167, 0.087)
Ti (0.000, 0.000, 0.500)
Ti (0.057, 0.200, 0.325)
Ti (0.075, 0.420, 0.848)
Ti (0.080, 0.425, 0.652)
Ti (0.169, 0.831, 0.167)
Ti (0.200, 0.057, 0.675)
Ti (0.243, 0.243, 0.000)
Ti (0.257, 0.257, 0.500)
Ti (0.300, 0.443, 0.175)
Ti (0.331, 0.669, 0.667)
Ti (0.420, 0.075, 0.152)
Ti (0.425, 0.080, 0.348)
Ti (0.443, 0.300, 0.825)
Ti (0.500, 0.500, 0.000)
Ti (0.557, 0.700, 0.175)
Ti (0.575, 0.920, 0.652)
Ti (0.580, 0.925, 0.848)
Ti (0.669, 0.331, 0.333)
Ti (0.700, 0.557, 0.825)
Ti (0.743, 0.743, 0.500)
Ti (0.757, 0.757, 0.000)
Ti (0.800, 0.943, 0.325)
Ti (0.831, 0.169, 0.833)
Ti (0.920, 0.575, 0.348)
Ti (0.925, 0.580, 0.152)
Ti (0.943, 0.800, 0.675)
O (0.003, 0.997, 0.249)
O (0.030, 0.211, 0.919)
O (0.036, 0.213, 0.579)
O (0.096, 0.400, 0.410)
O (0.100, 0.404, 0.090)
O (0.118, 0.622, 0.748)
O (0.122, 0.618, 0.248)
O (0.160, 0.840, 0.594)
O (0.211, 0.030, 0.081)
O (0.213, 0.036, 0.421)
O (0.230, 0.270, 0.750)
O (0.270, 0.230, 0.250)
O (0.287, 0.464, 0.921)
O (0.289, 0.470, 0.581)
O (0.340, 0.660, 0.094)
O (0.378, 0.882, 0.748)
O (0.382, 0.878, 0.248)
O (0.400, 0.096, 0.590)
O (0.404, 0.100, 0.910)
O (0.464, 0.287, 0.079)
O (0.470, 0.289, 0.419)
O (0.497, 0.503, 0.749)
O (0.503, 0.497, 0.251)
O (0.530, 0.711, 0.581)
O (0.536, 0.713, 0.921)
O (0.596, 0.900, 0.090)
O (0.600, 0.904, 0.410)
O (0.618, 0.122, 0.752)
O (0.622, 0.118, 0.252)
O (0.660, 0.340, 0.906)
O (0.711, 0.530, 0.419)
O (0.713, 0.536, 0.079)
O (0.730, 0.770, 0.750)
O (0.770, 0.730, 0.250)
O (0.787, 0.964, 0.579)
O (0.789, 0.970, 0.919)
O (0.840, 0.160, 0.406)
O (0.878, 0.382, 0.752)
O (0.882, 0.378, 0.252)
O (0.900, 0.596, 0.910)
O (0.904, 0.600, 0.590)
O (0.964, 0.787, 0.421)
O (0.970, 0.789, 0.081)
O (0.997, 0.003, 0.751)

***

No. 2
Computed, not measured: a relaxed BaTm2O4 crystal at the r2SCAN level of DFT.

Lattice parameters (Å, degrees): 10.335 3.398 11.960 90.00 90.00 90.00
Fractional positions:
Ba (0.247, 0.250, 0.150)
Ba (0.253, 0.750, 0.650)
Ba (0.747, 0.250, 0.350)
Ba (0.753, 0.750, 0.850)
Tm (0.073, 0.250, 0.390)
Tm (0.078, 0.250, 0.892)
Tm (0.422, 0.750, 0.392)
Tm (0.427, 0.750, 0.890)
Tm (0.573, 0.250, 0.110)
Tm (0.578, 0.250, 0.608)
Tm (0.922, 0.750, 0.108)
Tm (0.927, 0.750, 0.610)
O (0.019, 0.750, 0.783)
O (0.069, 0.250, 0.574)
O (0.113, 0.750, 0.017)
O (0.209, 0.750, 0.346)
O (0.291, 0.250, 0.846)
O (0.387, 0.250, 0.517)
O (0.431, 0.750, 0.074)
O (0.481, 0.250, 0.283)
O (0.519, 0.750, 0.717)
O (0.569, 0.250, 0.926)
O (0.613, 0.750, 0.483)
O (0.709, 0.750, 0.154)
O (0.791, 0.250, 0.654)
O (0.887, 0.250, 0.983)
O (0.931, 0.750, 0.426)
O (0.981, 0.250, 0.217)

***

No. 3
Computed, not measured: a relaxed Ba3Tm4O9 crystal at the r2SCAN level of DFT.

Lattice parameters (Å, degrees): 9.034 9.034 9.034 38.96 38.96 38.96
Fractional positions:
Ba (0.000, 0.000, 0.000)
Ba (0.163, 0.163, 0.163)
Ba (0.580, 0.580, 0.580)
Tm (0.300, 0.300, 0.300)
Tm (0.424, 0.424, 0.424)
Tm (0.739, 0.739, 0.739)
Tm (0.864, 0.864, 0.864)
O (0.036, 0.581, 0.128)
O (0.039, 0.474, 0.565)
O (0.126, 0.608, 0.681)
O (0.128, 0.036, 0.581)
O (0.474, 0.565, 0.039)
O (0.565, 0.039, 0.474)
O (0.581, 0.128, 0.036)
O (0.608, 0.681, 0.126)
O (0.681, 0.126, 0.608)

***

No. 4
Computed, not measured: a relaxed BaU2O7 crystal at the r2SCAN level of DFT.

Lattice parameters (Å, degrees): 7.844 7.844 7.844 125.69 125.69 80.40
Fractional positions:
Ba (0.375, 0.625, 0.750)
Ba (0.625, 0.375, 0.250)
U (0.000, 0.000, 0.000)
U (0.000, 0.000, 0.500)
U (0.000, 0.500, 0.000)
U (0.500, 0.000, 0.500)
O (0.000, 0.263, 0.263)
O (0.000, 0.737, 0.737)
O (0.095, 0.345, 0.750)
O (0.125, 0.875, 0.250)
O (0.263, 0.000, 0.763)
O (0.263, 0.500, 0.263)
O (0.345, 0.095, 0.250)
O (0.500, 0.263, 0.763)
O (0.500, 0.737, 0.237)
O (0.655, 0.905, 0.750)
O (0.737, 0.000, 0.237)
O (0.737, 0.500, 0.737)
O (0.875, 0.125, 0.750)
O (0.905, 0.655, 0.250)

***

Number 1: energy of formation -3.22 eV/atom. Number 2: energy of formation -3.66 eV/atom. Number 3: energy of formation -3.54 eV/atom. Number 4: energy of formation -3.41 eV/atom.